Entry 1:
First-principles (PBE+U) data for an optimized crystal structure of Li7NiO4F2, as listed in the Materials Project.

ρ: 2.58 g cm⁻³
Formation energy from the elements: -29.87 eV/f.u.

a b c (Å): 5.7301 9.7440 10.0673
angles (deg): 85.19 75.09 82.58
Last column: nearest neighbours and their distance in Å.
Atoms (fractional coordinates):
Li1 0.0000 0.0000 0.0000  3 F 1.85-1.92, 1 O 2.06
Li2 0.0124 0.7830 0.7167  4 O 1.99-2.17
Li3 0.0826 0.0699 0.2973  1 F 1.93, 2 O 1.95-1.98
Li4 0.1183 0.0310 0.6101  3 O 1.86-1.96, 1 F 1.90
Li5 0.1299 0.3140 0.2485  1 F 1.89, 2 O 1.91-2.03
Li6 0.1492 0.2787 0.6061  3 O 1.88-1.97, 1 F 1.96
Li7 0.1977 0.2842 0.9331  2 F 1.92, 2 O 1.93-2.10
Li8 0.2160 0.7517 0.1455  1 F 1.81, 2 O 1.95-2.03
Li9 0.2543 0.5264 0.5336  3 O 2.02-2.19, 1 F 2.08
Li10 0.3142 0.7911 0.8354  1 F 1.93, 2 O 2.01-2.12
Li11 0.3565 0.7933 0.4765  4 O 1.89-2.01
Li12 0.3657 0.0305 0.7672  3 O 1.87-1.99, 1 F 1.97
Li13 0.4466 0.0703 0.0758  2 F 1.91-1.94, 2 O 2.01-2.08
Li14 0.4669 0.0415 0.3860  2 O 1.90-1.91, 1 F 2.11
Li15 0.4774 0.4953 0.0101  3 F 1.85-1.92, 1 O 2.02
Li16 0.5088 0.2804 0.7215  4 O 1.99-2.20
Li17 0.5781 0.5731 0.2983  3 O 1.94-2.16, 1 F 1.95
Li18 0.6317 0.5306 0.6075  3 O 1.86-2.07, 1 F 1.87
Li19 0.6324 0.8202 0.2441  2 O 1.91-2.05, 1 F 1.93
Li20 0.6446 0.7825 0.6100  3 O 1.91-1.98, 1 F 1.97
Li21 0.7100 0.7849 0.9383  2 F 1.90-1.92, 2 O 1.95-2.03
Li22 0.7209 0.2488 0.1454  2 F 1.83-2.05, 2 O 1.97-2.03
Li23 0.7564 0.0316 0.5294  2 O 2.01-2.04, 1 F 2.05
Li24 0.8266 0.3011 0.8224  1 F 1.91, 3 O 1.96-2.05
Li25 0.8504 0.5435 0.7821  3 O 1.87-2.07, 1 F 1.99
Li26 0.8542 0.2946 0.4787  4 O 1.90-2.04
Li27 0.9437 0.5659 0.0805  2 F 1.91-1.94, 2 O 1.97-2.08
Li28 0.9746 0.5416 0.3802  2 O 1.89-1.91
Ni1 0.2669 0.5409 0.7964  4 O 1.85-1.92
Ni2 0.4940 0.3057 0.3663  4 O 1.86-1.96
Ni3 0.7633 0.0424 0.8079  4 O 1.85-1.95
Ni4 0.9908 0.8062 0.3675  4 O 1.85-1.96
O1 0.0759 0.9496 0.7972  5 Li 1.87-2.06, 1 Ni 1.88
O2 0.0967 0.9411 0.4591  4 Li 1.86-2.01, 1 Ni 1.91
O3 0.1404 0.3898 0.7518  1 Ni 1.86, 3 Li 1.88-2.07
O4 0.1704 0.3794 0.4263  1 Ni 1.86, 5 Li 1.91-2.04
O5 0.3050 0.7174 0.3209  1 Ni 1.86, 3 Li 1.89-1.95
O6 0.3600 0.6778 0.6502  1 Ni 1.92, 4 Li 1.96-2.09
O7 0.4026 0.1798 0.2513  4 Li 1.90-2.08, 1 Ni 1.96
O8 0.4659 0.1420 0.8807  1 Ni 1.85, 4 Li 1.88-2.01
O9 0.5720 0.4533 0.8093  5 Li 1.87-2.08, 1 Ni 1.87
O10 0.5986 0.4407 0.4585  4 Li 1.86-2.02, 1 Ni 1.91
O11 0.6424 0.8842 0.7644  1 Ni 1.90, 3 Li 1.91-2.03
O12 0.6695 0.8803 0.4277  1 Ni 1.85, 5 Li 1.91-2.05
O13 0.8082 0.2146 0.3234  1 Ni 1.86, 3 Li 1.90-1.97
O14 0.8547 0.1821 0.6593  1 Ni 1.95, 5 Li 1.96-2.05
O15 0.8984 0.6818 0.2512  4 Li 1.89-2.08, 1 Ni 1.96
O16 0.9941 0.6478 0.8913  1 Ni 1.85, 3 Li 1.95-1.97
F1 0.1707 0.9644 0.1339  4 Li 1.85-2.05
F2 0.1843 0.4095 0.0735  4 Li 1.89-1.92
F3 0.4030 0.1211 0.5820  5 Li 1.90-2.11
F4 0.4235 0.6936 0.9867  4 Li 1.81-1.93
F5 0.6646 0.4613 0.1370  4 Li 1.85-2.05
F6 0.6991 0.9206 0.0678  4 Li 1.91-1.93
F7 0.9024 0.6256 0.5899  4 Li 1.87-2.08
F8 0.9050 0.1948 0.9765  4 Li 1.83-1.92

Entry 2:
First-principles (PBE+U) data for an optimized crystal structure of Li3Ni5OF11, as listed in the Materials Project.

ρ: 4.23 g cm⁻³
Formation energy from the elements: -48.16 eV/f.u.

a b c (Å): 5.1035 5.4925 8.9048
angles (deg): 73.73 89.43 63.07
Last column: nearest neighbours and their distance in Å.
Atoms (fractional coordinates):
Li1 0.0000 0.0000 0.0000  4 F 1.94-2.15
Li2 0.2246 0.5271 0.7331  1 O 1.90, 2 F 1.95-1.96
Li3 0.7578 0.4902 0.2419  4 F 1.94-2.14
Ni1 0.0621 0.8633 0.3514  1 O 1.92, 5 F 2.02-2.14
Ni2 0.3028 0.3880 0.0934  6 F 2.01-2.04
Ni3 0.5405 0.9550 0.5038  1 O 1.94, 5 F 2.04-2.16
Ni4 0.5590 0.8905 0.8528  6 F 2.00-2.07
Ni5 0.8382 0.3804 0.5970  1 O 1.95, 4 F 2.02-2.13
O1 0.9602 0.6793 0.5433  1 Li 1.90, 3 Ni 1.92-1.95
F1 0.0043 0.6640 0.8979  1 Li 1.95, 2 Ni 2.01-2.03
F2 0.0169 0.6650 0.2014  2 Li 1.94-2.15, 2 Ni 2.02-2.04
F3 0.0836 0.1576 0.1517  1 Li 1.94, 2 Ni 2.01-2.08
F4 0.0894 0.1578 0.4571  3 Ni 2.02-2.14
F5 0.1167 0.1576 0.8016  1 Li 1.95, 2 Ni 2.02-2.03
F6 0.4823 0.6604 0.0483  1 Li 1.94, 2 Ni 2.00-2.03
F7 0.5115 0.6604 0.3958  1 Li 1.99, 3 Ni 2.03-2.16
F8 0.5148 0.6726 0.7111  1 Li 1.96, 3 Ni 2.04-2.19
F9 0.5714 0.1633 0.9615  1 Li 1.94, 2 Ni 2.01-2.02
F10 0.5867 0.1684 0.6487  3 Ni 2.05-2.07
F11 0.6028 0.1772 0.2937  3 Ni 2.04-2.14, 1 Li 2.14

Entry 3:
First-principles (PBE+U) data for an optimized crystal structure of Li7NiO4F2, as listed in the Materials Project.

ρ: 2.62 g cm⁻³
Formation energy from the elements: -29.85 eV/f.u.

a b c (Å): 5.4649 9.4553 5.7163
angles (deg): 91.24 67.24 78.22
Last column: nearest neighbours and their distance in Å.
Atoms (fractional coordinates):
F1 0.4433 0.3554 0.0683  5 Li 1.90-2.04
O1 0.1819 0.4766 0.7344  1 Ni 1.90, 4 Li 1.90-2.09
Ni1 0.9942 0.0074 0.0155  4 O 1.84-1.93
Li1 0.8820 0.6373 0.9626  2 O 1.92-1.98, 1 F 2.01
Li2 0.4825 0.0263 0.7206  2 F 1.91-1.98, 2 O 1.92-2.07
O2 0.7677 0.0504 0.8248  3 Li 1.89-2.01, 1 Ni 1.93
Li3 0.5408 0.9343 0.2235  2 O 1.90-1.96, 2 F 2.03-2.08
Li4 0.0572 0.8865 0.5806  3 O 2.01-2.09, 1 F 2.04
F2 0.4433 0.8554 0.5683  5 Li 1.90-2.04
F3 0.5446 0.6250 0.9082  4 Li 1.90-2.08
F4 0.5446 0.1249 0.4082  4 Li 1.90-2.08
Li5 0.0572 0.3865 0.0805  3 O 2.01-2.09, 1 F 2.04
Li6 0.3624 0.1593 0.1292  2 O 1.98-2.14, 2 F 2.00-2.18
Ni2 0.9940 0.5074 0.5155  4 O 1.84-1.93
Li7 0.3624 0.6593 0.6292  2 O 1.98-2.14, 2 F 2.00-2.18
O3 0.1230 0.6747 0.4400  1 Ni 1.85, 5 Li 1.91-2.07
O4 0.1231 0.1746 0.9400  1 Ni 1.85, 5 Li 1.91-2.07
O5 0.9199 0.8258 0.0511  1 Ni 1.84, 4 Li 1.92-1.98
Li8 0.2385 0.2702 0.6248  1 F 1.90, 3 O 1.92-1.97
Li9 0.8012 0.2423 0.8798  3 O 1.89-1.98, 1 F 1.90
O6 0.1820 0.9766 0.2343  1 Ni 1.90, 4 Li 1.90-2.09
Li10 0.2385 0.7702 0.1249  1 F 1.90, 3 O 1.92-1.97
O7 0.7675 0.5504 0.3249  3 Li 1.89-2.01, 1 Ni 1.93
O8 0.9199 0.3258 0.5510  1 Ni 1.84, 4 Li 1.92-1.98
Li11 0.8820 0.1372 0.4626  2 O 1.92-1.98, 1 F 2.01
Li12 0.4823 0.5263 0.2206  2 F 1.91-1.98, 2 O 1.92-2.07
Li13 0.5408 0.4342 0.7234  2 O 1.90-1.96, 2 F 2.03-2.08
Li14 0.8011 0.7422 0.3798  3 O 1.89-1.98, 1 F 1.90

Entry 4:
First-principles (PBE+U) data for an optimized crystal structure of Li2NiPO4F, as listed in the Materials Project.

ρ: 3.38 g cm⁻³
Formation energy from the elements: -22.62 eV/f.u.

a b c (Å): 10.5454 6.3602 10.9411
angles (deg): 90.00 90.00 90.00
Last column: nearest neighbours and their distance in Å.
Atoms (fractional coordinates):
Li1 0.0260 0.2500 0.2267  1 F 1.90, 3 O 2.00-2.10
Li2 0.2275 0.7500 0.4169  1 F 1.94, 4 O 2.06-2.15
Li3 0.2392 0.0056 0.1661  4 O 2.03-2.20
Li4 0.2392 0.4944 0.1661  4 O 2.03-2.20
Li5 0.2608 0.5056 0.6661  4 O 2.03-2.20
Li6 0.2608 0.9944 0.6661  4 O 2.03-2.20
Li7 0.2725 0.2500 0.9169  1 F 1.94, 4 O 2.06-2.15
Li8 0.4740 0.7500 0.7267  1 F 1.90, 3 O 2.00-2.10
Li9 0.5260 0.2500 0.2733  1 F 1.90, 3 O 2.00-2.10
Li10 0.7275 0.7500 0.0831  1 F 1.94, 4 O 2.06-2.15
Li11 0.7392 0.0056 0.3339  4 O 2.03-2.20
Li12 0.7392 0.4944 0.3339  4 O 2.03-2.20
Li13 0.7608 0.5056 0.8339  4 O 2.03-2.20
Li14 0.7608 0.9944 0.8339  4 O 2.03-2.20
Li15 0.7725 0.2500 0.5831  1 F 1.94, 4 O 2.06-2.15
Li16 0.9740 0.7500 0.7733  1 F 1.90, 3 O 2.00-2.10
Ni1 0.0000 0.0000 0.0000  4 O 2.03-2.06, 2 F 2.11
Ni2 0.0000 0.0000 0.5000  4 O 2.03-2.09, 2 F 2.10
Ni3 0.0000 0.5000 0.0000  4 O 2.03-2.06, 2 F 2.11
Ni4 0.0000 0.5000 0.5000  4 O 2.03-2.09, 2 F 2.10
Ni5 0.5000 0.0000 0.0000  4 O 2.03-2.09, 2 F 2.10
Ni6 0.5000 0.0000 0.5000  4 O 2.03-2.06, 2 F 2.11
Ni7 0.5000 0.5000 0.0000  4 O 2.03-2.09, 2 F 2.10
Ni8 0.5000 0.5000 0.5000  4 O 2.03-2.06, 2 F 2.11
P1 0.0227 0.2500 0.7561  4 O 1.55-1.57
P2 0.2434 0.2500 0.4216  4 O 1.54-1.56
P3 0.2566 0.7500 0.9216  4 O 1.54-1.56
P4 0.4773 0.7500 0.2561  4 O 1.55-1.57
P5 0.5227 0.2500 0.7439  4 O 1.55-1.57
P6 0.7434 0.2500 0.0784  4 O 1.54-1.56
P7 0.7566 0.7500 0.5784  4 O 1.54-1.56
P8 0.9773 0.7500 0.2439  4 O 1.55-1.57
O1 0.0276 0.7500 0.3785  1 P 1.57
O2 0.0342 0.5530 0.1801  1 P 1.55
O3 0.0342 0.9470 0.1801  1 P 1.55
O4 0.1106 0.7500 0.9453  1 P 1.56
O5 0.1697 0.2500 0.7563  1 P 1.55
O6 0.1899 0.0498 0.4855  1 P 1.56
O7 0.1899 0.4502 0.4855  1 P 1.56
O8 0.2167 0.2500 0.2833  1 P 1.54
O9 0.2833 0.7500 0.7833  1 P 1.54
O10 0.3101 0.5498 0.9855  1 P 1.56
O11 0.3101 0.9502 0.9855  1 P 1.56
O12 0.3303 0.7500 0.2563  1 P 1.55
O13 0.3894 0.2500 0.4453  1 P 1.56
O14 0.4658 0.0530 0.6801  1 P 1.55
O15 0.4658 0.4470 0.6801  1 P 1.55
O16 0.4724 0.2500 0.8785  1 P 1.57
O17 0.5276 0.7500 0.1215  1 P 1.57
O18 0.5342 0.5530 0.3199  1 P 1.55
O19 0.5342 0.9470 0.3199  1 P 1.55
O20 0.6106 0.7500 0.5547  1 P 1.56
O21 0.6697 0.2500 0.7437  1 P 1.55
O22 0.6899 0.0498 0.0145  1 P 1.56
O23 0.6899 0.4502 0.0145  1 P 1.56
O24 0.7167 0.2500 0.2167  1 P 1.54
O25 0.7833 0.7500 0.7167  1 P 1.54
O26 0.8101 0.5498 0.5145  1 P 1.56
O27 0.8101 0.9502 0.5145  1 P 1.56
O28 0.8303 0.7500 0.2437  1 P 1.55
O29 0.8894 0.2500 0.0547  1 P 1.56
O30 0.9658 0.0530 0.8199  1 P 1.55
O31 0.9658 0.4470 0.8199  1 P 1.55
O32 0.9724 0.2500 0.6215  1 P 1.57
F1 0.0497 0.7500 0.6162  1 Li 1.90, 2 Ni 2.10
F2 0.1283 0.2500 0.0276  1 Li 1.94, 2 Ni 2.11
F3 0.3717 0.7500 0.5276  1 Li 1.94, 2 Ni 2.11
F4 0.4503 0.2500 0.1162  1 Li 1.90, 2 Ni 2.10
F5 0.5497 0.7500 0.8838  1 Li 1.90, 2 Ni 2.10
F6 0.6283 0.2500 0.4724  1 Li 1.94, 2 Ni 2.11
F7 0.8717 0.7500 0.9724  1 Li 1.94, 2 Ni 2.11
F8 0.9503 0.2500 0.3838  1 Li 1.90, 2 Ni 2.10